## A
This record from the Materials Project database describes crystalline LiCuPO4 at its relaxed geometry. The functional is PBE.

Cell lengths 9.822, 9.822, 21.620 Å; angles 90.00, 90.00, 120.00 degrees
Sites, in units of the cell vectors:
Li: 0.119 0.308 0.002
Li: 0.146 0.829 0.000
Li: 0.171 0.317 0.667
Li: 0.180 0.790 0.701
Li: 0.189 0.881 0.336
Li: 0.210 0.390 0.367
Li: 0.308 0.189 0.169
Li: 0.313 0.645 0.816
Li: 0.317 0.146 0.833
Li: 0.331 0.687 0.149
Li: 0.355 0.669 0.483
Li: 0.390 0.180 0.534
Li: 0.610 0.820 0.034
Li: 0.645 0.331 0.983
Li: 0.669 0.313 0.649
Li: 0.683 0.854 0.333
Li: 0.687 0.355 0.316
Li: 0.692 0.811 0.669
Li: 0.790 0.610 0.867
Li: 0.811 0.119 0.836
Li: 0.820 0.210 0.201
Li: 0.829 0.683 0.167
Li: 0.854 0.171 0.500
Li: 0.881 0.692 0.502
Cu: 0.002 0.043 0.254
Cu: 0.021 0.541 0.410
Cu: 0.041 0.998 0.587
Cu: 0.043 0.041 0.421
Cu: 0.044 0.516 0.571
Cu: 0.048 0.558 0.235
Cu: 0.442 0.490 0.902
Cu: 0.459 0.479 0.077
Cu: 0.472 0.956 0.905
Cu: 0.479 0.021 0.243
Cu: 0.484 0.528 0.238
Cu: 0.490 0.048 0.069
Cu: 0.510 0.952 0.569
Cu: 0.516 0.472 0.738
Cu: 0.521 0.979 0.743
Cu: 0.528 0.044 0.405
Cu: 0.541 0.521 0.577
Cu: 0.558 0.510 0.402
Cu: 0.952 0.442 0.735
Cu: 0.956 0.484 0.071
Cu: 0.957 0.959 0.921
Cu: 0.959 0.002 0.087
Cu: 0.979 0.459 0.910
Cu: 0.998 0.957 0.754
P: 0.125 0.342 0.145
P: 0.126 0.767 0.833
P: 0.137 0.310 0.807
P: 0.174 0.863 0.140
P: 0.217 0.875 0.479
P: 0.233 0.358 0.499
P: 0.307 0.637 0.002
P: 0.310 0.174 0.974
P: 0.330 0.693 0.336
P: 0.342 0.217 0.312
P: 0.358 0.126 0.666
P: 0.363 0.670 0.669
P: 0.637 0.330 0.169
P: 0.642 0.874 0.166
P: 0.658 0.783 0.812
P: 0.670 0.307 0.836
P: 0.690 0.826 0.474
P: 0.693 0.363 0.502
P: 0.767 0.642 0.999
P: 0.783 0.125 0.979
P: 0.826 0.137 0.640
P: 0.863 0.690 0.307
P: 0.874 0.233 0.333
P: 0.875 0.658 0.645
O: 0.009 0.665 0.885
O: 0.013 0.189 0.182
O: 0.017 0.136 0.828
O: 0.026 0.705 0.126
O: 0.041 0.343 0.084
O: 0.063 0.725 0.459
O: 0.076 0.343 0.745
O: 0.078 0.198 0.488
O: 0.082 0.667 0.774
O: 0.119 0.922 0.821
O: 0.119 0.983 0.161
O: 0.136 0.119 0.994
O: 0.141 0.621 0.007
O: 0.151 0.436 0.854
O: 0.167 0.492 0.183
O: 0.176 0.987 0.515
O: 0.186 0.481 0.519
O: 0.189 0.176 0.348
O: 0.198 0.119 0.655
O: 0.200 0.632 0.643
O: 0.204 0.706 0.298
O: 0.258 0.633 0.401
O: 0.267 0.924 0.078
O: 0.275 0.338 0.126
O: 0.286 0.849 0.187
O: 0.294 0.497 0.965
O: 0.295 0.321 0.792
O: 0.295 0.814 0.852
O: 0.303 0.959 0.418
O: 0.321 0.026 0.959
O: 0.325 0.833 0.517
O: 0.333 0.415 0.440
O: 0.335 0.344 0.552
O: 0.338 0.063 0.292
O: 0.343 0.267 0.912
O: 0.343 0.303 0.251
O: 0.344 0.009 0.718
O: 0.367 0.626 0.068
O: 0.368 0.568 0.310
O: 0.374 0.742 0.734
O: 0.379 0.520 0.674
O: 0.415 0.082 0.607
O: 0.432 0.800 0.976
O: 0.436 0.286 0.020
O: 0.480 0.859 0.340
O: 0.481 0.295 0.685
O: 0.492 0.325 0.350
O: 0.497 0.204 0.131
O: 0.503 0.796 0.631
O: 0.508 0.675 0.850
O: 0.519 0.705 0.185
O: 0.520 0.141 0.840
O: 0.564 0.714 0.520
O: 0.568 0.200 0.476
O: 0.585 0.918 0.107
O: 0.621 0.480 0.174
O: 0.626 0.258 0.234
O: 0.632 0.432 0.810
O: 0.633 0.374 0.568
O: 0.656 0.991 0.218
O: 0.657 0.697 0.751
O: 0.657 0.733 0.412
O: 0.662 0.937 0.792
O: 0.665 0.656 0.052
O: 0.667 0.585 0.940
O: 0.675 0.167 0.017
O: 0.679 0.974 0.459
O: 0.697 0.041 0.918
O: 0.705 0.186 0.352
O: 0.705 0.679 0.292
O: 0.706 0.503 0.465
O: 0.714 0.151 0.687
O: 0.725 0.662 0.626
O: 0.733 0.076 0.578
O: 0.742 0.367 0.901
O: 0.796 0.294 0.798
O: 0.800 0.368 0.143
O: 0.802 0.881 0.155
O: 0.811 0.824 0.848
O: 0.814 0.519 0.019
O: 0.824 0.013 0.015
O: 0.833 0.508 0.683
O: 0.849 0.564 0.354
O: 0.859 0.379 0.507
O: 0.864 0.881 0.494
O: 0.881 0.017 0.661
O: 0.881 0.078 0.321
O: 0.918 0.333 0.274
O: 0.922 0.802 0.988
O: 0.924 0.657 0.245
O: 0.937 0.275 0.959
O: 0.959 0.657 0.584
O: 0.974 0.295 0.626
O: 0.983 0.864 0.328
O: 0.987 0.811 0.682
O: 0.991 0.335 0.385

Values from the calculation:
- magnetization (μB per formula unit) = 1.02
- calculated volume (A^3/atom) = 10.8


## B
This record from the Materials Project database describes crystalline LiCuPO4 at its relaxed geometry. The functional is PBE.

Cell lengths 5.799, 10.305, 9.959 Å; angles 90.00, 91.77, 90.00 degrees
Sites, in units of the cell vectors:
Li: 0.112 0.161 0.361
Li: 0.112 0.339 0.861
Li: 0.369 0.644 0.112
Li: 0.369 0.856 0.612
Li: 0.631 0.144 0.388
Li: 0.631 0.356 0.888
Li: 0.888 0.661 0.139
Li: 0.888 0.839 0.639
Cu: 0.155 0.623 0.515
Cu: 0.155 0.877 0.015
Cu: 0.378 0.092 0.771
Cu: 0.378 0.408 0.271
Cu: 0.622 0.592 0.729
Cu: 0.622 0.908 0.229
Cu: 0.845 0.123 0.985
Cu: 0.845 0.377 0.485
P: 0.126 0.611 0.835
P: 0.126 0.889 0.335
P: 0.374 0.145 0.090
P: 0.374 0.355 0.590
P: 0.626 0.645 0.410
P: 0.626 0.855 0.910
P: 0.874 0.111 0.665
P: 0.874 0.389 0.165
O: 0.085 0.018 0.670
O: 0.085 0.482 0.170
O: 0.111 0.697 0.965
O: 0.111 0.803 0.465
O: 0.131 0.700 0.707
O: 0.131 0.800 0.207
O: 0.162 0.053 0.079
O: 0.162 0.447 0.579
O: 0.330 0.235 0.210
O: 0.330 0.265 0.710
O: 0.350 0.528 0.849
O: 0.350 0.972 0.349
O: 0.398 0.567 0.376
O: 0.398 0.933 0.876
O: 0.407 0.218 0.957
O: 0.407 0.282 0.457
O: 0.593 0.718 0.543
O: 0.593 0.782 0.043
O: 0.602 0.067 0.124
O: 0.602 0.433 0.624
O: 0.650 0.028 0.651
O: 0.650 0.472 0.151
O: 0.670 0.735 0.290
O: 0.670 0.765 0.790
O: 0.838 0.553 0.421
O: 0.838 0.947 0.921
O: 0.869 0.200 0.793
O: 0.869 0.300 0.293
O: 0.889 0.197 0.535
O: 0.889 0.303 0.035
O: 0.915 0.518 0.830
O: 0.915 0.982 0.330

Values from the calculation:
- magnetization (μB per formula unit) = 1.00
- calculated volume (A^3/atom) = 10.6


The data favor B; the next most stable structure lies 44 meV per atom above it.